! SbP2O7 (r2SCAN, optimized geometry); values from VASP
&SYSTEM
  ibrav = 0, nat = 80, ntyp = 3
/
ATOMIC_SPECIES
Sb 121.76 Sb.upf
P 30.97 P.upf
O 16.00 O.upf
CELL_PARAMETERS angstrom
16.003 0.000 0.000
0.000 8.083 0.004
0.000 0.029 8.192
ATOMIC_POSITIONS crystal
Sb 0.873 0.152 0.535
Sb 0.373 0.848 0.965
Sb 0.127 0.848 0.465
Sb 0.627 0.152 0.035
Sb 0.368 0.375 0.480
Sb 0.868 0.625 0.020
Sb 0.632 0.625 0.520
Sb 0.132 0.375 0.980
P 0.678 0.026 0.409
P 0.178 0.974 0.091
P 0.322 0.974 0.591
P 0.822 0.026 0.909
P 0.668 0.539 0.116
P 0.168 0.461 0.384
P 0.332 0.461 0.884
P 0.832 0.539 0.616
P 0.591 0.248 0.643
P 0.091 0.752 0.857
P 0.409 0.752 0.357
P 0.909 0.248 0.143
P 0.427 0.220 0.069
P 0.927 0.780 0.431
P 0.573 0.780 0.931
P 0.073 0.220 0.569
O 0.418 0.072 0.951
O 0.918 0.928 0.549
O 0.582 0.928 0.049
O 0.082 0.072 0.451
O 0.369 0.223 0.209
O 0.869 0.777 0.291
O 0.631 0.777 0.791
O 0.131 0.223 0.709
O 0.415 0.373 0.948
O 0.915 0.627 0.552
O 0.585 0.627 0.052
O 0.085 0.373 0.448
O 0.670 0.375 0.020
O 0.170 0.625 0.480
O 0.330 0.625 0.980
O 0.830 0.375 0.520
O 0.520 0.236 0.121
O 0.020 0.764 0.379
O 0.480 0.764 0.879
O 0.980 0.236 0.621
O 0.663 0.366 0.629
O 0.163 0.634 0.871
O 0.337 0.634 0.371
O 0.837 0.366 0.129
O 0.343 0.491 0.704
O 0.843 0.509 0.796
O 0.657 0.509 0.296
O 0.157 0.491 0.204
O 0.665 0.139 0.260
O 0.165 0.861 0.240
O 0.335 0.861 0.740
O 0.835 0.139 0.760
O 0.338 0.153 0.623
O 0.838 0.847 0.877
O 0.662 0.847 0.377
O 0.162 0.153 0.123
O 0.240 0.354 0.435
O 0.740 0.646 0.065
O 0.760 0.646 0.565
O 0.260 0.354 0.935
O 0.584 0.167 0.815
O 0.084 0.833 0.685
O 0.416 0.833 0.185
O 0.916 0.167 0.315
O 0.613 0.083 0.540
O 0.113 0.917 0.960
O 0.387 0.917 0.460
O 0.887 0.083 0.040
O 0.509 0.312 0.590
O 0.009 0.688 0.910
O 0.491 0.688 0.410
O 0.991 0.312 0.090
O 0.766 0.057 0.473
O 0.266 0.943 0.027
O 0.234 0.943 0.527
O 0.734 0.057 0.973
! * energy of formation from the pure elements: -2.09 eV per atom
! * size of the total moment: 0.000 μB/atom
! * uncorrected energy: -851.43 eV per cell